No. 1
First-principles (GGA+U) data for a geometry-optimized LiMnVP4O14 structure, as listed in the Materials Project database.

```
data_LiMnVP4O14
_chemical_formula_sum 'Li4 Mn4 V4 P16 O56'
_cell_length_a 8.187
_cell_length_b 9.738
_cell_length_c 14.001
_cell_angle_alpha 71.81
_cell_angle_beta 89.97
_cell_angle_gamma 87.99
_symmetry_space_group_name_H-M 'P 1'
_symmetry_Int_Tables_number 1
_symmetry_space_group_name_Hall 'P 1'
loop_
_atom_site_label
_atom_site_type_symbol
_atom_site_fract_x
_atom_site_fract_y
_atom_site_fract_z
Li1 Li 0.000 0.000 0.000
Li2 Li 0.000 0.251 0.250
Li3 Li 0.505 0.330 0.670
Li4 Li 0.999 0.750 0.748
Mn1 Mn 0.855 0.043 0.446
Mn2 Mn 0.856 0.543 0.947
Mn3 Mn 0.857 0.793 0.197
Mn4 Mn 0.870 0.301 0.691
V1 V 0.358 0.531 0.473
V2 V 0.367 0.777 0.727
V3 V 0.368 0.027 0.980
V4 V 0.369 0.278 0.228
P1 P 0.081 0.803 0.382
P2 P 0.082 0.303 0.881
P3 P 0.082 0.554 0.131
P4 P 0.083 0.053 0.631
P5 P 0.181 0.502 0.689
P6 P 0.183 0.002 0.188
P7 P 0.184 0.752 0.937
P8 P 0.185 0.252 0.437
P9 P 0.573 0.025 0.786
P10 P 0.574 0.777 0.534
P11 P 0.575 0.278 0.035
P12 P 0.576 0.528 0.285
P13 P 0.685 0.580 0.727
P14 P 0.686 0.079 0.228
P15 P 0.687 0.328 0.479
P16 P 0.687 0.829 0.978
O1 O 0.015 0.485 0.650
O2 O 0.019 0.235 0.395
O3 O 0.019 0.734 0.894
O4 O 0.019 0.984 0.144
O5 O 0.035 0.411 0.937
O6 O 0.035 0.912 0.437
O7 O 0.037 0.662 0.186
O8 O 0.042 0.159 0.689
O9 O 0.173 0.170 0.951
O10 O 0.176 0.421 0.201
O11 O 0.177 0.920 0.700
O12 O 0.183 0.677 0.452
O13 O 0.192 0.148 0.211
O14 O 0.192 0.897 0.961
O15 O 0.193 0.647 0.711
O16 O 0.201 0.396 0.461
O17 O 0.209 0.877 0.293
O18 O 0.210 0.127 0.544
O19 O 0.210 0.626 0.043
O20 O 0.213 0.376 0.796
O21 O 0.325 0.474 0.626
O22 O 0.326 0.732 0.872
O23 O 0.327 0.229 0.372
O24 O 0.327 0.981 0.122
O25 O 0.422 0.068 0.838
O26 O 0.423 0.572 0.335
O27 O 0.424 0.319 0.087
O28 O 0.424 0.818 0.588
O29 O 0.515 0.610 0.764
O30 O 0.516 0.111 0.264
O31 O 0.516 0.861 0.013
O32 O 0.518 0.363 0.518
O33 O 0.521 0.659 0.488
O34 O 0.525 0.162 0.987
O35 O 0.526 0.411 0.237
O36 O 0.528 0.910 0.738
O37 O 0.650 0.155 0.714
O38 O 0.659 0.899 0.462
O39 O 0.661 0.399 0.962
O40 O 0.663 0.648 0.212
O41 O 0.687 0.431 0.711
O42 O 0.689 0.182 0.461
O43 O 0.691 0.682 0.962
O44 O 0.691 0.931 0.212
O45 O 0.710 0.450 0.373
O46 O 0.712 0.200 0.120
O47 O 0.712 0.700 0.620
O48 O 0.713 0.952 0.870
O49 O 0.823 0.604 0.793
O50 O 0.824 0.107 0.293
O51 O 0.824 0.347 0.547
O52 O 0.824 0.856 0.043
O53 O 0.931 0.005 0.588
O54 O 0.931 0.504 0.087
O55 O 0.931 0.757 0.336
O56 O 0.932 0.257 0.834
```

Calculated values
The formation energy is -2592 meV/atom.

***

No. 2
First-principles (GGA+U) data for a geometry-optimized Li4MnVP3O12 structure, as listed in the Materials Project database.

```
data_Li4MnVP3O12
_chemical_formula_sum 'Li8 Mn2 V2 P6 O24'
_cell_length_a 8.416
_cell_length_b 8.439
_cell_length_c 9.262
_cell_angle_alpha 90.53
_cell_angle_beta 116.94
_cell_angle_gamma 119.29
_symmetry_space_group_name_H-M 'P 1'
_symmetry_Int_Tables_number 1
_symmetry_space_group_name_Hall 'P 1'
loop_
_atom_site_label
_atom_site_type_symbol
_atom_site_fract_x
_atom_site_fract_y
_atom_site_fract_z
Li1 Li 0.000 0.000 0.000
Li2 Li 0.043 0.270 0.510
Li3 Li 0.303 0.145 0.312
Li4 Li 0.347 0.408 0.822
Li5 Li 0.478 0.936 0.549
Li6 Li 0.599 0.865 0.263
Li7 Li 0.737 0.546 0.556
Li8 Li 0.867 0.472 0.277
Mn1 Mn 0.360 0.558 0.443
Mn2 Mn 0.385 0.057 0.975
V1 V 0.963 0.357 0.850
V2 V 0.979 0.854 0.374
P1 P 0.164 0.753 0.162
P2 P 0.175 0.663 0.663
P3 P 0.461 0.252 0.664
P4 P 0.477 0.457 0.171
P5 P 0.875 0.961 0.654
P6 P 0.880 0.154 0.159
O1 O 0.009 0.706 0.228
O2 O 0.015 0.347 0.300
O3 O 0.052 0.592 0.002
O4 O 0.072 0.019 0.826
O5 O 0.086 0.456 0.686
O6 O 0.228 0.949 0.129
O7 O 0.272 0.804 0.824
O8 O 0.279 0.414 0.001
O9 O 0.314 0.055 0.518
O10 O 0.332 0.706 0.605
O11 O 0.359 0.369 0.605
O12 O 0.371 0.775 0.307
O13 O 0.425 0.408 0.312
O14 O 0.478 0.232 0.831
O15 O 0.563 0.341 0.149
O16 O 0.654 0.676 0.229
O17 O 0.659 0.043 0.139
O18 O 0.683 0.351 0.679
O19 O 0.702 0.749 0.599
O20 O 0.793 0.089 0.668
O21 O 0.878 0.185 0.993
O22 O 0.932 0.003 0.511
O23 O 0.972 0.652 0.511
O24 O 0.987 0.038 0.218
```

Calculated values
The formation energy is -2665 meV/atom.

***

No. 3
First-principles (GGA+U) data for a geometry-optimized Li3MnVP3O12 structure, as listed in the Materials Project database.

```
data_Li3MnVP3O12
_chemical_formula_sum 'Li12 Mn4 V4 P12 O48'
_cell_length_a 11.658
_cell_length_b 12.805
_cell_length_c 6.327
_cell_angle_alpha 90.00
_cell_angle_beta 113.83
_cell_angle_gamma 90.00
_symmetry_space_group_name_H-M 'C 1 c 1'
_symmetry_Int_Tables_number 9
_symmetry_space_group_name_Hall 'C -2yc'
loop_
_atom_site_label
_atom_site_type_symbol
_atom_site_fract_x
_atom_site_fract_y
_atom_site_fract_z
Li1 Li 0.000 0.000 0.000
Li2 Li 0.001 0.212 0.249
Li3 Li 0.001 0.496 0.748
Mn1 Mn 0.216 0.340 0.130
V1 V 0.283 0.159 0.860
P1 P 0.236 0.397 0.634
P2 P 0.263 0.098 0.363
P3 P 0.499 0.286 0.249
O1 O 0.046 0.282 0.973
O2 O 0.098 0.136 0.732
O3 O 0.124 0.078 0.295
O4 O 0.151 0.494 0.609
O5 O 0.177 0.335 0.403
O6 O 0.226 0.321 0.825
O7 O 0.280 0.166 0.173
O8 O 0.324 0.163 0.589
O9 O 0.345 0.004 0.901
O10 O 0.375 0.421 0.705
O11 O 0.398 0.360 0.271
O12 O 0.458 0.216 0.032
```

Calculated values
The formation energy is -2613 meV/atom.

***

No. 4
First-principles (GGA+U) data for a geometry-optimized Li6MnV3P6O24 structure, as listed in the Materials Project database.

```
data_Li6MnV3P6O24
_chemical_formula_sum 'Li24 Mn4 V12 P24 O96'
_cell_length_a 15.208
_cell_length_b 8.875
_cell_length_c 14.519
_cell_angle_alpha 90.00
_cell_angle_beta 109.05
_cell_angle_gamma 90.00
_symmetry_space_group_name_H-M 'C 1 2 1'
_symmetry_Int_Tables_number 5
_symmetry_space_group_name_Hall 'C 2y'
loop_
_atom_site_label
_atom_site_type_symbol
_atom_site_fract_x
_atom_site_fract_y
_atom_site_fract_z
Li1 Li 0.046 0.000 0.237
Li2 Li 0.046 0.500 0.738
Li3 Li 0.125 0.185 0.876
Li4 Li 0.125 0.684 0.375
Li5 Li 0.205 0.368 0.513
Li6 Li 0.205 0.869 0.013
Mn1 Mn 0.198 0.188 0.090
V1 V 0.053 0.179 0.662
V2 V 0.053 0.679 0.162
V3 V 0.197 0.688 0.588
P1 P 0.000 0.482 0.500
P2 P 0.000 0.983 0.000
P3 P 0.106 0.833 0.756
P4 P 0.107 0.333 0.256
P5 P 0.143 0.536 0.992
P6 P 0.144 0.035 0.494
P7 P 0.250 0.383 0.750
O1 O 0.012 0.248 0.241
O2 O 0.012 0.748 0.740
O3 O 0.025 0.386 0.594
O4 O 0.025 0.886 0.094
O5 O 0.069 0.577 0.895
O6 O 0.070 0.073 0.395
O7 O 0.083 0.582 0.497
O8 O 0.084 0.081 0.996
O9 O 0.086 0.004 0.761
O10 O 0.086 0.504 0.261
O11 O 0.113 0.082 0.579
O12 O 0.113 0.582 0.079
O13 O 0.137 0.286 0.170
O14 O 0.137 0.785 0.671
O15 O 0.163 0.367 0.985
O16 O 0.164 0.864 0.489
O17 O 0.166 0.284 0.752
O18 O 0.166 0.784 0.255
O19 O 0.180 0.295 0.355
O20 O 0.180 0.797 0.855
O21 O 0.225 0.481 0.656
O22 O 0.225 0.976 0.156
O23 O 0.238 0.119 0.510
O24 O 0.239 0.623 0.009
```

Calculated values
The formation energy is -2648 meV/atom.

***

No. 5
First-principles (GGA+U) data for a geometry-optimized Li3MnVP3O12 structure, as listed in the Materials Project database.

```
data_Li3MnVP3O12
_chemical_formula_sum 'Li12 Mn4 V4 P12 O48'
_cell_length_a 8.558
_cell_length_b 8.865
_cell_length_c 12.404
_cell_angle_alpha 90.53
_cell_angle_beta 92.42
_cell_angle_gamma 90.64
_symmetry_space_group_name_H-M 'P 1'
_symmetry_Int_Tables_number 1
_symmetry_space_group_name_Hall 'P 1'
loop_
_atom_site_label
_atom_site_type_symbol
_atom_site_fract_x
_atom_site_fract_y
_atom_site_fract_z
Li1 Li 0.000 0.000 0.000
Li2 Li 0.003 0.111 0.744
Li3 Li 0.013 0.101 0.245
Li4 Li 0.280 0.308 0.180
Li5 Li 0.282 0.903 0.678
Li6 Li 0.500 0.610 0.743
Li7 Li 0.510 0.522 0.494
Li8 Li 0.514 0.704 0.982
Li9 Li 0.520 0.602 0.250
Li10 Li 0.729 0.895 0.311
Li11 Li 0.733 0.301 0.805
Li12 Li 0.986 0.228 0.489
Mn1 Mn 0.214 0.608 0.596
Mn2 Mn 0.723 0.115 0.602
Mn3 Mn 0.799 0.611 0.889
Mn4 Mn 0.805 0.606 0.393
V1 V 0.224 0.610 0.101
V2 V 0.296 0.111 0.889
V3 V 0.300 0.111 0.391
V4 V 0.728 0.109 0.105
P1 P 0.009 0.924 0.496
P2 P 0.011 0.306 0.994
P3 P 0.173 0.754 0.852
P4 P 0.182 0.463 0.351
P5 P 0.360 0.964 0.143
P6 P 0.367 0.255 0.646
P7 P 0.508 0.398 0.995
P8 P 0.508 0.828 0.493
P9 P 0.661 0.965 0.854
P10 P 0.664 0.260 0.347
P11 P 0.838 0.470 0.642
P12 P 0.853 0.750 0.138
O1 O 0.002 0.705 0.854
O2 O 0.005 0.524 0.638
O3 O 0.012 0.506 0.361
O4 O 0.018 0.688 0.134
O5 O 0.082 0.035 0.412
O6 O 0.084 0.195 0.909
O7 O 0.131 0.834 0.560
O8 O 0.137 0.404 0.053
O9 O 0.168 0.933 0.840
O10 O 0.180 0.285 0.331
O11 O 0.264 0.048 0.230
O12 O 0.265 0.521 0.249
O13 O 0.266 0.707 0.956
O14 O 0.267 0.166 0.729
O15 O 0.268 0.703 0.756
O16 O 0.282 0.019 0.034
O17 O 0.285 0.507 0.450
O18 O 0.290 0.205 0.534
O19 O 0.347 0.791 0.157
O20 O 0.364 0.426 0.662
O21 O 0.376 0.926 0.437
O22 O 0.377 0.299 0.935
O23 O 0.439 0.504 0.081
O24 O 0.441 0.727 0.581
O25 O 0.488 0.025 0.852
O26 O 0.494 0.192 0.349
O27 O 0.534 0.002 0.152
O28 O 0.539 0.206 0.658
O29 O 0.573 0.732 0.401
O30 O 0.575 0.499 0.906
O31 O 0.625 0.295 0.050
O32 O 0.630 0.934 0.547
O33 O 0.641 0.793 0.837
O34 O 0.643 0.430 0.329
O35 O 0.736 0.513 0.543
O36 O 0.743 0.004 0.965
O37 O 0.749 0.526 0.743
O38 O 0.755 0.696 0.232
O39 O 0.756 0.177 0.258
O40 O 0.756 0.222 0.452
O41 O 0.758 0.702 0.032
O42 O 0.760 0.049 0.772
O43 O 0.850 0.292 0.659
O44 O 0.872 0.926 0.152
O45 O 0.885 0.392 0.930
O46 O 0.887 0.832 0.431
O47 O 0.938 0.036 0.581
O48 O 0.948 0.198 0.081
```

Calculated values
The formation energy is -2611 meV/atom.

***

No. 6
First-principles (GGA+U) data for a geometry-optimized Li6MnV3P6O24 structure, as listed in the Materials Project database.

```
data_Li6MnV3P6O24
_chemical_formula_sum 'Li12 Mn2 V6 P12 O48'
_cell_length_a 8.555
_cell_length_b 8.762
_cell_length_c 12.100
_cell_angle_alpha 89.51
_cell_angle_beta 88.92
_cell_angle_gamma 89.94
_symmetry_space_group_name_H-M 'P 1'
_symmetry_Int_Tables_number 1
_symmetry_space_group_name_Hall 'P 1'
loop_
_atom_site_label
_atom_site_type_symbol
_atom_site_fract_x
_atom_site_fract_y
_atom_site_fract_z
Li1 Li 0.000 0.000 0.000
Li2 Li 0.014 0.429 0.656
Li3 Li 0.114 0.733 0.169
Li4 Li 0.254 0.235 0.025
Li5 Li 0.355 0.929 0.537
Li6 Li 0.370 0.500 0.193
Li7 Li 0.500 0.527 0.501
Li8 Li 0.515 0.101 0.156
Li9 Li 0.615 0.794 0.668
Li10 Li 0.755 0.294 0.524
Li11 Li 0.855 0.601 0.037
Li12 Li 0.870 0.029 0.694
Mn1 Mn 0.182 0.485 0.452
Mn2 Mn 0.690 0.978 0.455
V1 V 0.179 0.049 0.238
V2 V 0.190 0.549 0.956
V3 V 0.190 0.987 0.741
V4 V 0.680 0.043 0.952
V5 V 0.680 0.480 0.738
V6 V 0.691 0.542 0.242
P1 P 0.050 0.404 0.198
P2 P 0.051 0.135 0.500
P3 P 0.321 0.632 0.697
P4 P 0.321 0.904 0.994
P5 P 0.391 0.763 0.336
P6 P 0.477 0.261 0.356
P7 P 0.549 0.125 0.699
P8 P 0.549 0.398 0.998
P9 P 0.820 0.897 0.195
P10 P 0.821 0.626 0.492
P11 P 0.896 0.763 0.837
P12 P 0.975 0.266 0.856
O1 O 0.035 0.155 0.765
O2 O 0.060 0.313 0.513
O3 O 0.060 0.520 0.098
O4 O 0.075 0.094 0.378
O5 O 0.104 0.244 0.159
O6 O 0.120 0.338 0.913
O7 O 0.168 0.046 0.572
O8 O 0.172 0.466 0.280
O9 O 0.200 0.965 0.908
O10 O 0.205 0.542 0.628
O11 O 0.247 0.836 0.279
O12 O 0.263 0.746 0.034
O13 O 0.299 0.594 0.820
O14 O 0.306 0.021 0.092
O15 O 0.312 0.809 0.679
O16 O 0.330 0.650 0.429
O17 O 0.376 0.436 0.035
O18 O 0.382 0.123 0.743
O19 O 0.383 0.345 0.448
O20 O 0.385 0.142 0.292
O21 O 0.479 0.882 0.403
O22 O 0.488 0.679 0.247
O23 O 0.489 0.905 0.950
O24 O 0.494 0.594 0.659
O25 O 0.535 0.374 0.264
O26 O 0.558 0.221 0.016
O27 O 0.564 0.007 0.601
O28 O 0.575 0.437 0.876
O29 O 0.606 0.284 0.660
O30 O 0.624 0.189 0.411
O31 O 0.664 0.487 0.070
O32 O 0.669 0.064 0.786
O33 O 0.699 0.565 0.409
O34 O 0.705 0.986 0.122
O35 O 0.751 0.692 0.780
O36 O 0.761 0.785 0.534
O37 O 0.797 0.933 0.318
O38 O 0.807 0.510 0.592
O39 O 0.808 0.721 0.177
O40 O 0.836 0.873 0.929
O41 O 0.879 0.179 0.947
O42 O 0.880 0.099 0.540
O43 O 0.883 0.406 0.244
O44 O 0.884 0.386 0.792
O45 O 0.987 0.642 0.901
O46 O 0.988 0.629 0.447
O47 O 0.991 0.850 0.747
O48 O 0.993 0.935 0.158
```

Calculated values
The formation energy is -2681 meV/atom.

***

| no. | calculated volume (Å³ per atom) | corrected total energy (MP2020 scheme) (eV per atom) | total DFT energy (no corrections) (eV per atom) |
| --- | --- | --- | --- |
| 1 | 12.62 | -7.88 | -7.2626 |
| 2 | 11.63 | -7.50 | -6.9455 |
| 3 | 10.80 | -7.59 | -7.0115 |
| 4 | 11.58 | -7.63 | -7.0442 |
| 5 | 11.75 | -7.59 | -7.0094 |
| 6 | 11.34 | -7.66 | -7.0775 |